Crystalline Cs2InI6O18 at its relaxed geometry, computed with PBE.

Values from the calculation:
Symmetry = P-1
ΔE_f = -1.10 eV/atom
Size of the total moment = 1.0 μB per cell

```
Cs2InI6O18
1.0
8.004 0.000 0.000
-1.107 7.956 0.000
-1.190 -1.207 7.887
Cs In I O
2 1 6 18
direct
0.169 0.158 0.155
0.831 0.842 0.845
0.500 0.500 0.500
0.132 0.695 0.334
0.294 0.661 0.867
0.336 0.118 0.682
0.664 0.882 0.318
0.706 0.339 0.133
0.868 0.305 0.666
0.078 0.695 0.108
0.098 0.596 0.710
0.102 0.067 0.658
0.281 0.538 0.321
0.296 0.887 0.396
0.305 0.890 0.904
0.336 0.269 0.527
0.381 0.273 0.877
0.451 0.661 0.720
0.549 0.339 0.280
0.619 0.727 0.123
0.664 0.731 0.473
0.695 0.110 0.096
0.704 0.113 0.604
0.719 0.462 0.679
0.898 0.933 0.342
0.902 0.404 0.290
0.922 0.305 0.892
```



Crystalline ZrFe4N4 at its relaxed geometry, computed with PBE.

Values from the calculation:
Symmetry = P-1
ΔE_f = -0.34 eV/atom
Size of the total moment = 8.0 μB per cell

```
ZrFe4N4
1.0
5.403 0.000 0.000
2.671 4.779 0.000
0.894 2.200 7.139
Zr Fe N
2 8 8
direct
0.250 0.143 0.186
0.750 0.857 0.814
0.179 0.313 0.765
0.224 0.940 0.601
0.268 0.594 0.413
0.272 0.729 0.998
0.728 0.271 0.002
0.732 0.406 0.587
0.776 0.060 0.399
0.821 0.687 0.235
0.016 0.901 0.193
0.034 0.709 0.604
0.350 0.386 0.932
0.494 0.223 0.582
0.506 0.777 0.418
0.650 0.614 0.068
0.966 0.291 0.396
0.984 0.099 0.807
```



Crystalline SrMg6Nb at its relaxed geometry, computed with PBE.

Values from the calculation:
Energy above the lowest structure with this stoichiometry = 0.110 eV per atom
ΔE_f = 0.28 eV/atom
Size of the total moment = 1.9 μB per cell

```
SrMg6Nb
1.0
5.187 0.000 0.000
0.000 6.697 0.000
0.000 0.000 11.333
Sr Mg Nb
2 12 2
direct
0.000 0.500 0.342
0.000 0.000 0.842
0.000 0.274 0.090
0.000 0.726 0.090
0.000 0.500 0.830
0.500 0.269 0.919
0.500 0.731 0.919
0.500 0.500 0.658
0.000 0.774 0.590
0.000 0.226 0.590
0.000 0.000 0.330
0.500 0.769 0.419
0.500 0.231 0.419
0.500 0.000 0.158
0.500 0.500 0.151
0.500 0.000 0.651
```



Crystalline UAl3 at its relaxed geometry, computed with PBE.

Values from the calculation:
Symmetry = Pm-3m
ΔE_f = -0.13 eV/atom

```
UAl3
1.0
4.260 0.000 0.000
0.000 4.260 0.000
0.000 0.000 4.260
U Al
1 3
direct
0.000 0.000 0.000
0.000 0.500 0.500
0.500 0.000 0.500
0.500 0.500 0.000
```